An optimized crystal structure of Sr10Ga6O19. Source: Materials Project, functional PBE.

Geometry as POSCAR:
```
Sr10Ga6O19
1.0
8.0634 0.0000 0.0000
0.0009 16.1364 0.0000
4.0287 4.0161 17.1779
Sr Ga O
40 24 76
Direct
0.0000 0.0000 0.0000 Sr
0.0022 0.4889 0.0027 Sr
0.0164 0.7264 0.9952 Sr
0.1022 0.3201 0.7520 Sr
0.1211 0.5458 0.7640 Sr
0.1338 0.7882 0.7432 Sr
0.1535 0.0139 0.7563 Sr
0.2383 0.6085 0.5113 Sr
0.2530 0.8452 0.5048 Sr
0.2537 0.3355 0.5089 Sr
0.2718 0.4169 0.2542 Sr
0.2935 0.1452 0.8805 Sr
0.3055 0.0905 0.4925 Sr
0.3321 0.6456 0.8800 Sr
0.3657 0.1373 0.2629 Sr
0.3734 0.6978 0.2446 Sr
0.4199 0.9176 0.2543 Sr
0.4965 0.2252 0.9966 Sr
0.5023 0.9886 0.0024 Sr
0.5065 0.4994 0.0000 Sr
0.5134 0.4995 0.3827 Sr
0.5447 0.7430 0.0152 Sr
0.5993 0.5127 0.7569 Sr
0.6130 0.9993 0.3831 Sr
0.6238 0.0463 0.7631 Sr
0.6282 0.2878 0.7443 Sr
0.6417 0.3350 0.1252 Sr
0.6569 0.8197 0.7518 Sr
0.7108 0.5910 0.4919 Sr
0.7409 0.8350 0.1246 Sr
0.7486 0.8347 0.5078 Sr
0.7532 0.3460 0.5042 Sr
0.7578 0.1081 0.5125 Sr
0.8350 0.4170 0.2535 Sr
0.8821 0.6367 0.2618 Sr
0.8895 0.1978 0.2460 Sr
0.9217 0.6881 0.6270 Sr
0.9484 0.2431 0.0160 Sr
0.9596 0.1891 0.6273 Sr
0.9824 0.9174 0.2533 Sr
0.0466 0.5150 0.3997 Ga
0.0520 0.7360 0.3799 Ga
0.0628 0.0148 0.3995 Ga
0.0768 0.2353 0.3811 Ga
0.1793 0.0989 0.1275 Ga
0.1915 0.3194 0.1082 Ga
0.2023 0.5987 0.1268 Ga
0.2085 0.8194 0.1073 Ga
0.2804 0.3801 0.8939 Ga
0.3332 0.8806 0.8932 Ga
0.4264 0.2021 0.6412 Ga
0.4367 0.9324 0.6253 Ga
0.4412 0.7015 0.6411 Ga
0.4458 0.4325 0.6257 Ga
0.5400 0.2563 0.3682 Ga
0.6009 0.7565 0.3675 Ga
0.6540 0.5781 0.1399 Ga
0.7150 0.0779 0.1402 Ga
0.8075 0.9020 0.8822 Ga
0.8133 0.6324 0.8659 Ga
0.8167 0.4018 0.8832 Ga
0.8268 0.1326 0.8662 Ga
0.9213 0.4538 0.6144 Ga
0.9727 0.9538 0.6138 Ga
0.0045 0.3466 0.6217 O
0.0080 0.6304 0.9044 O
0.0130 0.0157 0.5075 O
0.0305 0.3119 0.2970 O
0.0304 0.8891 0.1219 O
0.0309 0.1299 0.3533 O
0.0539 0.7435 0.4799 O
0.0550 0.4021 0.8797 O
0.0729 0.5225 0.2105 O
0.1255 0.6301 0.3531 O
0.1291 0.7045 0.1537 O
0.1815 0.8124 0.2960 O
0.1977 0.9327 0.6288 O
0.2012 0.5911 0.0269 O
0.2231 0.2046 0.1551 O
0.2250 0.0227 0.2117 O
0.2246 0.4455 0.3854 O
0.2410 0.3179 0.0002 O
0.2440 0.7033 0.6035 O
0.2494 0.9875 0.8868 O
0.2687 0.8183 0.9995 O
0.2713 0.1737 0.5878 O
0.2818 0.0912 0.0278 O
0.2863 0.7977 0.8449 O
0.2967 0.9989 0.3819 O
0.3079 0.2234 0.3795 O
0.3344 0.4586 0.7155 O
0.3551 0.3891 0.1226 O
0.3708 0.2977 0.8444 O
0.3708 0.4875 0.8864 O
0.3789 0.1476 0.7455 O
0.3794 0.3190 0.6353 O
0.3823 0.6467 0.7452 O
0.4241 0.8350 0.1256 O
0.4335 0.6107 0.1280 O
0.4392 0.4892 0.5259 O
0.4577 0.9599 0.7145 O
0.4914 0.6486 0.4029 O
0.4923 0.8182 0.6346 O
0.5310 0.8404 0.4208 O
0.5427 0.9892 0.5258 O
0.5581 0.3411 0.4206 O
0.5736 0.9025 0.8766 O
0.5924 0.1305 0.9038 O
0.6041 0.6628 0.9175 O
0.6160 0.1489 0.4023 O
0.6189 0.7928 0.2612 O
0.6269 0.2928 0.2614 O
0.6295 0.0411 0.2467 O
0.6350 0.5412 0.2463 O
0.6385 0.1853 0.1067 O
0.6497 0.6735 0.5880 O
0.6611 0.2045 0.6044 O
0.6811 0.4335 0.6295 O
0.6963 0.9942 0.0865 O
0.7115 0.3454 0.9826 O
0.7242 0.4935 0.0869 O
0.7591 0.5156 0.8732 O
0.7644 0.6851 0.1053 O
0.7937 0.3741 0.7938 O
0.8133 0.8450 0.9815 O
0.8222 0.7239 0.3788 O
0.8309 0.4988 0.3819 O
0.8722 0.1863 0.7621 O
0.8730 0.0157 0.8740 O
0.8737 0.6868 0.7616 O
0.8782 0.0365 0.6617 O
0.8822 0.8461 0.6216 O
0.8996 0.9450 0.3850 O
0.9198 0.8750 0.7925 O
0.9483 0.1097 0.1273 O
0.9578 0.3357 0.1266 O
0.9660 0.5361 0.6631 O
0.9742 0.2433 0.4805 O
0.9824 0.1620 0.9189 O
0.9884 0.5153 0.5079 O
```

Summary:
Energy relative to the elements: -65.061 kcal/mol of atoms
Mass density: 4750 kg/m³